## MgGa2 (r²SCAN)

Data for crystalline MgGa2 at its relaxed geometry.

```
MgGa2
1.0
2.6349 1.5213 4.6136
-2.6349 1.5213 4.6136
0.0000 -3.0426 4.6136
Mg Ga
2 4
Cartesian
0.0000 0.0000 2.3183
0.0000 0.0000 11.5224
-1.7525 -0.0072 4.6136
0.8825 -1.5141 4.6136
0.0000 0.0000 6.9204
0.8700 1.5213 4.6136
```

Properties
The calculation puts the formation energy from the elements at -8 meV per atom. The space group is R32. The value obtained for the magnetization is 0.001 μB per cell. For the theoretical density, the calculation gives 4.90 g/cm³.